[1]
Li4Ti3V3Cu2O16: optimized geometry, PBE with a Hubbard U.

- corrected total energy (MP2020 scheme) (Ry/atom) = -0.569
- SG = P1
- energy (eV/atom) = -7.16

```
Li4Ti3V3Cu2O16
1.0
5.838 0.000 0.000
-2.837 5.143 0.000
-0.412 -0.452 9.793
Li Ti V Cu O
4 3 3 2 16
Direct
0.000 0.000 0.000 Li
0.002 0.015 0.501 Li
0.301 0.654 0.601 Li
0.633 0.315 0.101 Li
0.136 0.813 0.276 Ti
0.172 0.340 0.277 Ti
0.324 0.185 0.777 Ti
0.649 0.845 0.291 V
0.799 0.143 0.782 V
0.830 0.652 0.789 V
0.313 0.660 0.003 Cu
0.647 0.322 0.503 Cu
0.135 0.313 0.889 O
0.153 0.829 0.892 O
0.312 0.164 0.391 O
0.321 0.672 0.392 O
0.443 0.502 0.160 O
0.450 0.946 0.166 O
0.477 0.458 0.664 O
0.494 0.011 0.679 O
0.653 0.331 0.894 O
0.685 0.829 0.885 O
0.821 0.700 0.386 O
0.823 0.164 0.393 O
0.926 0.471 0.662 O
0.971 0.997 0.183 O
0.977 0.982 0.684 O
0.988 0.501 0.179 O
```

***

[2]
LiMnF4: optimized geometry, PBE with a Hubbard U.

- corrected total energy (MP2020 scheme) (Ry/atom) = -0.443
- SG = P2_1/c
- energy (eV/atom) = -5.44

```
LiMnF4
1.0
5.956 0.000 0.000
0.000 4.844 0.000
-0.026 0.000 10.500
Li Mn F
4 4 16
Direct
0.123 0.008 0.353 Li
0.123 0.492 0.853 Li
0.877 0.508 0.147 Li
0.877 0.992 0.647 Li
0.368 0.532 0.135 Mn
0.368 0.968 0.635 Mn
0.632 0.032 0.365 Mn
0.632 0.468 0.865 Mn
0.139 0.749 0.704 F
0.139 0.751 0.204 F
0.141 0.181 0.565 F
0.141 0.319 0.065 F
0.394 0.687 0.937 F
0.394 0.813 0.437 F
0.395 0.241 0.800 F
0.395 0.259 0.300 F
0.605 0.741 0.700 F
0.605 0.759 0.200 F
0.606 0.187 0.563 F
0.606 0.313 0.063 F
0.859 0.681 0.935 F
0.859 0.819 0.435 F
0.861 0.249 0.796 F
0.861 0.251 0.296 F
```

***

[3]
LiNiP3O9: optimized geometry, PBE with a Hubbard U.

- corrected total energy (MP2020 scheme) (Ry/atom) = -0.541
- SG = R3
- distance to the lowest polymorph of the same formula (kJ per mole of atoms) = 2.8
- energy (eV/atom) = -6.74

```
LiNiP3O9
1.0
5.028 2.903 2.318
-5.028 2.903 2.318
0.000 -5.806 2.318
Li Ni P O
1 1 3 9
Direct
0.000 0.000 0.000 Li
0.630 0.630 0.630 Ni
0.123 0.674 0.545 P
0.545 0.123 0.674 P
0.674 0.545 0.123 P
0.011 0.757 0.720 O
0.271 0.912 0.507 O
0.279 0.538 0.599 O
0.507 0.271 0.912 O
0.538 0.599 0.279 O
0.599 0.279 0.538 O
0.720 0.011 0.757 O
0.757 0.720 0.011 O
0.912 0.507 0.271 O
```

***

[4]
Li3V3P8O29: optimized geometry, PBE with a Hubbard U.

- corrected total energy (MP2020 scheme) (Ry/atom) = -0.561
- SG = P1
- distance to the lowest polymorph of the same formula (kJ per mole of atoms) = 0.9
- energy (eV/atom) = -7.05

```
Li3V3P8O29
1.0
9.743 0.000 0.000
4.823 8.477 0.000
0.282 -0.020 14.349
Li V P O
6 6 16 58
Direct
0.000 0.000 0.000 Li
0.026 0.856 0.497 Li
0.240 0.093 0.883 Li
0.388 0.691 0.936 Li
0.552 0.457 0.495 Li
0.632 0.693 0.376 Li
0.327 0.208 0.685 V
0.327 0.338 0.189 V
0.757 0.782 0.182 V
0.761 0.342 0.694 V
0.891 0.768 0.696 V
0.892 0.208 0.192 V
0.004 0.862 0.283 P
0.009 0.002 0.782 P
0.099 0.089 0.601 P
0.109 0.687 0.104 P
0.239 0.548 0.600 P
0.240 0.086 0.097 P
0.406 0.465 0.781 P
0.408 0.999 0.278 P
0.541 0.857 0.777 P
0.552 0.454 0.281 P
0.638 0.546 0.101 P
0.647 0.683 0.596 P
0.661 0.110 0.070 P
0.668 0.105 0.574 P
0.987 0.447 0.306 P
0.995 0.435 0.809 P
0.066 0.793 0.375 O
0.067 0.115 0.105 O
0.068 0.691 0.603 O
0.085 0.004 0.871 O
0.095 0.001 0.520 O
0.122 0.985 0.696 O
0.123 0.778 0.024 O
0.126 0.759 0.201 O
0.140 0.283 0.767 O
0.140 0.435 0.261 O
0.230 0.394 0.618 O
0.239 0.244 0.113 O
0.242 0.117 0.606 O
0.243 0.513 0.106 O
0.309 0.010 0.005 O
0.318 0.572 0.692 O
0.323 0.998 0.364 O
0.330 0.976 0.183 O
0.333 0.541 0.516 O
0.336 0.558 0.867 O
0.400 0.311 0.769 O
0.407 0.033 0.774 O
0.407 0.431 0.275 O
0.416 0.153 0.259 O
0.512 0.115 0.620 O
0.514 0.256 0.115 O
0.520 0.774 0.858 O
0.526 0.785 0.679 O
0.537 0.569 0.197 O
0.542 0.564 0.020 O
0.565 0.526 0.370 O
0.581 0.425 0.767 O
0.581 0.855 0.272 O
0.586 0.753 0.504 O
0.655 0.962 0.115 O
0.665 0.102 0.967 O
0.665 0.515 0.605 O
0.666 0.104 0.471 O
0.668 0.254 0.613 O
0.679 0.681 0.109 O
0.703 0.292 0.261 O
0.705 0.853 0.768 O
0.791 0.386 0.111 O
0.806 0.674 0.622 O
0.808 0.954 0.618 O
0.815 0.100 0.109 O
0.841 0.597 0.267 O
0.843 0.442 0.763 O
0.845 0.871 0.259 O
0.850 0.156 0.766 O
0.946 0.692 0.111 O
0.947 0.250 0.619 O
0.978 0.302 0.258 O
0.981 0.859 0.773 O
0.982 0.031 0.268 O
0.985 0.436 0.409 O
0.990 0.433 0.912 O
0.998 0.583 0.764 O
```

***

[5]
Al2FeO4: optimized geometry, PBE with a Hubbard U.

- corrected total energy (MP2020 scheme) (Ry/atom) = -0.584
- distance to the lowest polymorph of the same formula (kJ per mole of atoms) = 6.2
- energy (eV/atom) = -7.23

```
Al2FeO4
1.0
-2.853 4.941 0.000
2.938 1.696 4.797
5.845 3.375 -4.773
O Al Fe
16 8 4
Direct
0.765 0.750 0.508 O
0.265 0.750 0.992 O
0.500 0.008 0.232 O
0.000 0.508 0.732 O
0.000 0.008 0.268 O
0.735 0.750 0.992 O
0.500 0.992 0.768 O
0.265 0.250 0.008 O
0.765 0.250 0.492 O
0.000 0.492 0.268 O
0.500 0.492 0.232 O
0.500 0.508 0.768 O
0.735 0.250 0.008 O
0.000 0.992 0.732 O
0.235 0.750 0.508 O
0.235 0.250 0.492 O
0.000 0.000 0.500 Al
0.500 0.500 0.000 Al
0.500 0.000 0.000 Al
0.000 0.250 0.135 Al
0.500 0.250 0.365 Al
0.000 0.500 0.500 Al
0.500 0.750 0.635 Al
0.000 0.750 0.865 Al
0.250 0.250 0.750 Fe
0.750 0.250 0.750 Fe
0.250 0.750 0.250 Fe
0.750 0.750 0.250 Fe
```

***

[6]
Na3Mn2P2C2O14: optimized geometry, PBE with a Hubbard U.

- corrected total energy (MP2020 scheme) (Ry/atom) = -0.551
- SG = Pc
- distance to the lowest polymorph of the same formula (kJ per mole of atoms) = 0.9
- energy (eV/atom) = -6.93

```
Na3Mn2P2C2O14
1.0
5.215 0.000 0.000
0.000 6.583 0.000
-0.537 0.000 18.000
Na Mn P C O
6 4 4 4 28
Direct
0.000 0.227 0.000 Na
0.000 0.773 0.500 Na
0.512 0.262 0.740 Na
0.512 0.738 0.240 Na
0.513 0.258 0.242 Na
0.513 0.742 0.742 Na
0.544 0.490 0.449 Mn
0.544 0.510 0.949 Mn
0.974 0.005 0.797 Mn
0.974 0.995 0.297 Mn
0.040 0.498 0.336 P
0.040 0.502 0.836 P
0.472 0.004 0.909 P
0.472 0.996 0.409 P
0.025 0.000 0.161 C
0.025 0.000 0.661 C
0.487 0.497 0.083 C
0.487 0.503 0.583 C
0.050 0.003 0.094 O
0.050 0.997 0.594 O
0.178 0.014 0.888 O
0.178 0.986 0.388 O
0.220 0.002 0.711 O
0.220 0.998 0.211 O
0.296 0.499 0.033 O
0.296 0.501 0.533 O
0.337 0.497 0.354 O
0.337 0.503 0.854 O
0.457 0.494 0.151 O
0.457 0.506 0.651 O
0.537 0.185 0.456 O
0.537 0.815 0.956 O
0.543 0.191 0.958 O
0.543 0.809 0.458 O
0.616 0.006 0.834 O
0.616 0.994 0.334 O
0.710 0.500 0.051 O
0.710 0.500 0.551 O
0.803 0.002 0.695 O
0.803 0.998 0.195 O
0.894 0.492 0.909 O
0.894 0.508 0.409 O
0.969 0.309 0.288 O
0.969 0.691 0.788 O
0.975 0.318 0.785 O
0.975 0.682 0.285 O
```

***

[7]
Mn3SnO8: optimized geometry, PBE with a Hubbard U.

- corrected total energy (MP2020 scheme) (Ry/atom) = -0.570
- SG = P6_3mc
- energy (eV/atom) = -6.89

```
Mn3SnO8
1.0
5.826 0.000 0.000
-2.913 5.046 0.000
0.000 0.000 9.431
Mn Sn O
6 2 16
Direct
0.168 0.335 0.000 Mn
0.168 0.832 0.000 Mn
0.335 0.168 0.500 Mn
0.665 0.832 0.000 Mn
0.832 0.168 0.500 Mn
0.832 0.665 0.500 Mn
0.333 0.667 0.280 Sn
0.667 0.333 0.780 Sn
0.000 0.000 0.100 O
0.000 0.000 0.600 O
0.034 0.517 0.116 O
0.159 0.317 0.391 O
0.159 0.841 0.391 O
0.317 0.159 0.891 O
0.333 0.667 0.895 O
0.483 0.517 0.116 O
0.483 0.966 0.116 O
0.517 0.034 0.616 O
0.517 0.483 0.616 O
0.667 0.333 0.395 O
0.683 0.841 0.391 O
0.841 0.159 0.891 O
0.841 0.683 0.891 O
0.966 0.483 0.616 O
```

***

[8]
Li4CoO3: optimized geometry, PBE with a Hubbard U.

- corrected total energy (MP2020 scheme) (Ry/atom) = -0.408
- SG = Cc
- energy (eV/atom) = -5.09

```
Li4CoO3
1.0
5.003 -2.548 0.000
5.003 2.548 0.000
-2.608 0.000 6.449
Li Co O
8 2 6
Direct
0.021 0.600 0.094 Li
0.085 0.401 0.404 Li
0.148 0.852 0.500 Li
0.237 0.544 0.795 Li
0.401 0.085 0.904 Li
0.544 0.237 0.295 Li
0.600 0.021 0.594 Li
0.852 0.148 0.000 Li
0.485 0.771 0.181 Co
0.771 0.485 0.681 Co
0.164 0.200 0.630 O
0.200 0.164 0.130 O
0.443 0.459 0.579 O
0.459 0.443 0.079 O
0.812 0.816 0.342 O
0.816 0.812 0.842 O
```

***

[9]
Co29O40: optimized geometry, PBE with a Hubbard U.

- corrected total energy (MP2020 scheme) (Ry/atom) = -0.518
- SG = P1
- energy (eV/atom) = -5.96

```
Co29O40
1.0
8.337 0.000 0.000
4.137 9.322 0.000
4.159 0.070 9.366
Co O
29 40
Direct
0.000 0.000 0.000 Co
0.002 0.498 0.504 Co
0.071 0.954 0.651 Co
0.095 0.599 0.704 Co
0.124 0.249 0.753 Co
0.193 0.700 0.404 Co
0.196 0.697 0.900 Co
0.201 0.196 0.402 Co
0.295 0.799 0.099 Co
0.327 0.448 0.154 Co
0.396 0.395 0.808 Co
0.398 0.904 0.292 Co
0.398 0.905 0.805 Co
0.476 0.344 0.453 Co
0.497 0.000 0.503 Co
0.526 0.650 0.550 Co
0.594 0.600 0.204 Co
0.600 0.099 0.202 Co
0.600 0.103 0.700 Co
0.669 0.550 0.861 Co
0.698 0.205 0.903 Co
0.717 0.857 0.952 Co
0.797 0.300 0.105 Co
0.798 0.300 0.601 Co
0.804 0.801 0.601 Co
0.874 0.748 0.250 Co
0.904 0.392 0.298 Co
0.928 0.050 0.347 Co
0.997 0.493 0.006 Co
0.014 0.316 0.109 O
0.047 0.294 0.586 O
0.051 0.790 0.597 O
0.074 0.792 0.092 O
0.145 0.385 0.317 O
0.148 0.410 0.807 O
0.148 0.899 0.814 O
0.166 0.884 0.285 O
0.235 0.507 0.506 O
0.240 0.973 0.998 O
0.241 0.499 0.994 O
0.259 0.010 0.491 O
0.339 0.594 0.716 O
0.350 0.099 0.230 O
0.356 0.616 0.201 O
0.377 0.094 0.702 O
0.427 0.712 0.914 O
0.437 0.184 0.406 O
0.446 0.707 0.383 O
0.479 0.197 0.874 O
0.516 0.807 0.105 O
0.542 0.820 0.606 O
0.562 0.290 0.612 O
0.570 0.287 0.103 O
0.636 0.914 0.303 O
0.644 0.916 0.786 O
0.647 0.390 0.800 O
0.666 0.391 0.289 O
0.730 0.005 0.516 O
0.740 0.494 0.028 O
0.760 0.013 0.004 O
0.768 0.480 0.499 O
0.826 0.116 0.696 O
0.830 0.590 0.203 O
0.849 0.106 0.183 O
0.857 0.602 0.695 O
0.926 0.209 0.918 O
0.951 0.693 0.413 O
0.958 0.688 0.905 O
0.973 0.204 0.400 O
```

***

[10]
MgCr2Ag2O8: optimized geometry, PBE with a Hubbard U.

- corrected total energy (MP2020 scheme) (Ry/atom) = -0.487
- SG = Amm2
- distance to the lowest polymorph of the same formula (kJ per mole of atoms) = 0.0
- energy (eV/atom) = -5.89

```
MgCr2Ag2O8
1.0
6.520 0.000 0.000
0.000 3.184 4.553
0.000 -3.184 4.553
Mg Cr Ag O
1 2 2 8
Direct
0.000 0.000 0.000 Mg
0.000 0.702 0.702 Cr
0.500 0.983 0.983 Cr
0.262 0.345 0.345 Ag
0.738 0.345 0.345 Ag
0.000 0.031 0.615 O
0.000 0.615 0.031 O
0.203 0.596 0.596 O
0.278 0.086 0.086 O
0.500 0.087 0.668 O
0.500 0.668 0.087 O
0.722 0.086 0.086 O
0.797 0.596 0.596 O
```